V4O7F5: relaxed, r2SCAN.

The structure in POSCAR format:
```
V4O7F5
1.0
-5.080 -0.002 -0.021
-2.543 -4.572 -0.031
0.037 -2.708 8.236
V O F
4 7 5
Direct
0.794 0.454 0.257
0.490 0.956 0.507
0.310 0.459 0.753
0.042 0.982 0.005
0.953 0.251 0.129
0.532 0.756 0.382
0.406 0.760 0.080
0.411 0.765 0.672
0.574 0.258 0.916
0.454 0.268 0.622
0.075 0.263 0.418
0.907 0.778 0.574
0.903 0.760 0.170
0.566 0.266 0.326
0.018 0.755 0.870
0.064 0.267 0.818
```

Properties
Polymorph energy (0 for the lowest one) (eV/atom): 0.011
E (eV for the cell shown): -156.51
Crystal system: triclinic
Energy of formation from the pure elements (meV/atom): -2670
Size of the total moment (μB per atom): 0.062
Symmetry: No. 1

=====

V2OF5: relaxed, r2SCAN.

The structure in POSCAR format:
```
V2OF5
1.0
2.558 1.403 -4.177
0.007 12.579 4.164
5.104 0.005 -0.007
V O F
6 3 15
Direct
0.304 0.828 0.357
0.683 0.670 0.660
0.683 0.161 0.676
0.009 0.496 0.983
0.988 0.003 0.996
0.314 0.338 0.360
0.014 0.751 0.575
0.097 0.415 0.651
0.896 0.083 0.754
0.001 0.249 0.388
0.275 0.917 0.674
0.729 0.583 0.937
0.615 0.750 0.387
0.402 0.753 0.988
0.283 0.417 0.053
0.712 0.083 0.340
0.682 0.414 0.264
0.311 0.088 0.948
0.067 0.923 0.278
0.939 0.581 0.337
0.598 0.256 0.998
0.403 0.245 0.596
0.666 0.912 0.072
0.330 0.586 0.728
```

Properties
Polymorph energy (0 for the lowest one) (eV/atom): 0.001
E (eV for the cell shown): -224.08
Crystal system: triclinic
Energy of formation from the pure elements (meV/atom): -3114
Size of the total moment (μB per atom): 0.375
Symmetry: No. 1

=====

V2OF5: relaxed, r2SCAN.

The structure in POSCAR format:
```
V2OF5
1.0
4.679 -1.719 -0.869
-1.955 -6.638 2.609
-1.356 -1.184 -4.962
V O F
4 2 10
Direct
0.484 0.494 0.476
0.516 0.994 0.476
0.006 0.497 0.003
0.994 0.997 0.003
0.701 0.959 0.213
0.299 0.459 0.213
0.891 0.249 0.000
0.805 0.557 0.304
0.807 0.942 0.699
0.693 0.551 0.795
0.612 0.251 0.511
0.388 0.751 0.511
0.307 0.051 0.795
0.195 0.057 0.304
0.193 0.442 0.699
0.109 0.749 0.999
```

Properties
Polymorph energy (0 for the lowest one) (eV/atom): 0.007
E (eV for the cell shown): -149.29
Crystal system: monoclinic
Energy of formation from the pure elements (meV/atom): -3108
Size of the total moment (μB per atom): 0.375
Symmetry: No. 7

=====

V2OF5: relaxed, r2SCAN.

The structure in POSCAR format:
```
V2OF5
1.0
-0.375 -1.729 -4.772
0.814 -4.953 1.734
-10.819 1.276 3.076
V O F
6 3 15
Direct
0.167 0.169 0.337
0.361 0.344 0.688
0.492 0.506 0.014
0.665 0.666 0.332
0.992 0.997 0.995
0.840 0.826 0.650
0.512 0.417 0.833
0.841 0.754 0.501
0.490 0.580 0.164
0.809 0.912 0.824
0.630 0.132 0.631
0.504 0.628 0.631
0.156 0.252 0.506
0.828 0.701 0.033
0.168 0.038 0.703
0.963 0.460 0.300
0.289 0.792 0.960
0.700 0.202 0.033
0.163 0.295 0.961
0.830 0.960 0.297
0.041 0.537 0.701
0.502 0.375 0.371
0.366 0.871 0.367
0.189 0.087 0.167
```

Properties
Polymorph energy (0 for the lowest one) (eV/atom): 0.013
E (eV for the cell shown): -223.78
Crystal system: triclinic
Energy of formation from the pure elements (meV/atom): -3102
Size of the total moment (μB per atom): 0.375
Symmetry: No. 1

=====

Q: Which of these has the lowest size of the total moment?
A: V4O7F5

=====

Repeat the fourth record exactly.
V2OF5: relaxed, r2SCAN.

The structure in POSCAR format:
```
V2OF5
1.0
-0.375 -1.729 -4.772
0.814 -4.953 1.734
-10.819 1.276 3.076
V O F
6 3 15
Direct
0.167 0.169 0.337
0.361 0.344 0.688
0.492 0.506 0.014
0.665 0.666 0.332
0.992 0.997 0.995
0.840 0.826 0.650
0.512 0.417 0.833
0.841 0.754 0.501
0.490 0.580 0.164
0.809 0.912 0.824
0.630 0.132 0.631
0.504 0.628 0.631
0.156 0.252 0.506
0.828 0.701 0.033
0.168 0.038 0.703
0.963 0.460 0.300
0.289 0.792 0.960
0.700 0.202 0.033
0.163 0.295 0.961
0.830 0.960 0.297
0.041 0.537 0.701
0.502 0.375 0.371
0.366 0.871 0.367
0.189 0.087 0.167
```

Properties
Polymorph energy (0 for the lowest one) (eV/atom): 0.013
E (eV for the cell shown): -223.78
Crystal system: triclinic
Energy of formation from the pure elements (meV/atom): -3102
Size of the total moment (μB per atom): 0.375
Symmetry: No. 1

=====

Q: Number 4 is which compound?
A: V2OF5

=====

Q: Which of these has the highest polymorph energy (0 for the lowest one)?
A: number 4